# 1
VASP calculation (PBE-GGA) on crystalline Na5Al2In2P5SO24 at its relaxed geometry.

Cell: 8.775 8.788 22.143 Å, 89.89 89.62 60.07°
Space group P1 (No. 1)
Unique sites:
Na 0.000 0.000 0.000 [1 per cell]
Na 0.000 0.360 0.501 [1 per cell]
Na 0.276 0.723 0.500 [1 per cell]
Na 0.297 0.041 0.918 [1 per cell]
Na 0.303 0.397 0.669 [1 per cell]
Na 0.308 0.016 0.415 [1 per cell]
Na 0.309 0.666 0.167 [1 per cell]
Na 0.332 0.331 0.333 [1 per cell]
Na 0.610 0.060 0.833 [1 per cell]
Na 0.637 0.380 0.755 [1 per cell]
Na 0.648 0.357 0.247 [1 per cell]
Na 0.939 0.024 0.668 [1 per cell]
Na 0.943 0.388 0.165 [1 per cell]
Na 0.945 0.706 0.585 [1 per cell]
Na 0.952 0.698 0.081 [1 per cell]
Al 0.290 0.037 0.770 [1 per cell]
Al 0.312 0.040 0.067 [1 per cell]
Al 0.643 0.348 0.903 [1 per cell]
Al 0.647 0.352 0.098 [1 per cell]
Al 0.973 0.685 0.935 [1 per cell]
Al 0.973 0.694 0.228 [1 per cell]
In 0.301 0.024 0.261 [1 per cell]
In 0.312 0.028 0.569 [1 per cell]
In 0.638 0.366 0.605 [1 per cell]
In 0.644 0.366 0.395 [1 per cell]
In 0.968 0.699 0.432 [1 per cell]
In 0.974 0.691 0.741 [1 per cell]
P 0.004 0.029 0.161 [1 per cell]
P 0.013 0.322 0.671 [1 per cell]
P 0.262 0.697 0.329 [1 per cell]
P 0.272 0.397 0.838 [1 per cell]
P 0.307 0.741 0.672 [1 per cell]
P 0.311 0.324 0.165 [1 per cell]
P 0.343 0.358 0.499 [1 per cell]
P 0.596 0.024 0.674 [1 per cell]
P 0.601 0.732 0.162 [1 per cell]
P 0.636 0.069 0.000 [1 per cell]
P 0.638 0.661 0.500 [1 per cell]
P 0.927 0.364 0.000 [1 per cell]
P 0.934 0.064 0.502 [1 per cell]
P 0.971 0.405 0.328 [1 per cell]
P 0.974 0.993 0.839 [1 per cell]
S 0.352 0.647 0.000 [1 per cell]
S 0.673 0.688 0.839 [1 per cell]
S 0.682 0.984 0.328 [1 per cell]
O 0.068 0.084 0.217 [1 per cell]
O 0.108 0.255 0.609 [1 per cell]
O 0.113 0.193 0.008 [1 per cell]
O 0.116 0.200 0.723 [1 per cell]
O 0.119 0.045 0.503 [1 per cell]
O 0.135 0.990 0.108 [1 per cell]
O 0.140 0.500 0.888 [1 per cell]
O 0.141 0.008 0.829 [1 per cell]
O 0.141 0.510 0.171 [1 per cell]
O 0.141 0.719 0.676 [1 per cell]
O 0.142 0.224 0.325 [1 per cell]
O 0.157 0.684 0.275 [1 per cell]
O 0.158 0.526 0.498 [1 per cell]
O 0.170 0.670 0.994 [1 per cell]
O 0.171 0.715 0.390 [1 per cell]
O 0.213 0.494 0.777 [1 per cell]
O 0.269 0.230 0.114 [1 per cell]
O 0.277 0.833 0.610 [1 per cell]
O 0.289 0.856 0.326 [1 per cell]
O 0.294 0.209 0.831 [1 per cell]
O 0.315 0.200 0.501 [1 per cell]
O 0.319 0.845 0.725 [1 per cell]
O 0.328 0.827 0.004 [1 per cell]
O 0.351 0.223 0.224 [1 per cell]
O 0.423 0.386 0.556 [1 per cell]
O 0.430 0.544 0.056 [1 per cell]
O 0.440 0.520 0.328 [1 per cell]
O 0.446 0.339 0.440 [1 per cell]
O 0.459 0.372 0.848 [1 per cell]
O 0.464 0.557 0.947 [1 per cell]
O 0.467 0.355 0.151 [1 per cell]
O 0.469 0.555 0.671 [1 per cell]
O 0.471 0.050 0.010 [1 per cell]
O 0.471 0.841 0.503 [1 per cell]
O 0.480 0.043 0.730 [1 per cell]
O 0.488 0.792 0.219 [1 per cell]
O 0.500 0.853 0.833 [1 per cell]
O 0.502 0.010 0.325 [1 per cell]
O 0.504 0.858 0.110 [1 per cell]
O 0.526 0.002 0.614 [1 per cell]
O 0.604 0.582 0.444 [1 per cell]
O 0.607 0.178 0.942 [1 per cell]
O 0.607 0.196 0.673 [1 per cell]
O 0.625 0.544 0.152 [1 per cell]
O 0.650 0.536 0.850 [1 per cell]
O 0.666 0.160 0.328 [1 per cell]
O 0.672 0.547 0.556 [1 per cell]
O 0.674 0.160 0.053 [1 per cell]
O 0.749 0.897 0.386 [1 per cell]
O 0.767 0.723 0.888 [1 per cell]
O 0.774 0.650 0.782 [1 per cell]
O 0.785 0.868 0.678 [1 per cell]
O 0.788 0.709 0.171 [1 per cell]
O 0.792 0.886 0.276 [1 per cell]
O 0.804 0.675 0.496 [1 per cell]
O 0.807 0.385 0.327 [1 per cell]
O 0.807 0.883 0.992 [1 per cell]
O 0.808 0.178 0.848 [1 per cell]
O 0.816 0.393 0.058 [1 per cell]
O 0.820 0.191 0.151 [1 per cell]
O 0.834 0.328 0.671 [1 per cell]
O 0.835 0.327 0.948 [1 per cell]
O 0.837 0.139 0.562 [1 per cell]
O 0.848 0.180 0.447 [1 per cell]
O 0.922 0.930 0.781 [1 per cell]
O 0.948 0.528 0.990 [1 per cell]
O 0.958 0.520 0.273 [1 per cell]
O 0.960 0.878 0.498 [1 per cell]
O 0.994 0.477 0.389 [1 per cell]
O 0.994 0.859 0.172 [1 per cell]
O 0.995 0.504 0.676 [1 per cell]
O 0.999 0.868 0.892 [1 per cell]

Results
**Calculated volume**: 12.648 Å³/atom
**Crystal system**: triclinic
**Corrected total energy (MP2020 scheme)**: -6.95 eV/atom

---

# 2
VASP calculation (PBE-GGA) on crystalline Na7Al2In2SiP5O24 at its relaxed geometry.

Cell: 8.917 8.921 22.040 Å, 89.75 89.93 60.07°
Space group P1 (No. 1)
Unique sites:
Na 0.000 0.000 0.000 [1 per cell]
Na 0.002 0.357 0.501 [1 per cell]
Na 0.274 0.727 0.497 [1 per cell]
Na 0.278 0.368 0.999 [1 per cell]
Na 0.294 0.035 0.084 [1 per cell]
Na 0.297 0.034 0.583 [1 per cell]
Na 0.307 0.655 0.836 [1 per cell]
Na 0.327 0.334 0.667 [1 per cell]
Na 0.342 0.693 0.166 [1 per cell]
Na 0.601 0.065 0.168 [1 per cell]
Na 0.615 0.689 0.670 [1 per cell]
Na 0.632 0.723 0.001 [1 per cell]
Na 0.638 0.362 0.249 [1 per cell]
Na 0.642 0.351 0.750 [1 per cell]
Na 0.645 0.999 0.496 [1 per cell]
Na 0.675 0.660 0.330 [1 per cell]
Na 0.934 0.402 0.831 [1 per cell]
Na 0.935 0.030 0.333 [1 per cell]
Na 0.965 0.705 0.918 [1 per cell]
Na 0.972 0.061 0.666 [1 per cell]
Na 0.983 0.689 0.414 [1 per cell]
Al 0.298 0.036 0.231 [1 per cell]
Al 0.300 0.033 0.431 [1 per cell]
Al 0.303 0.032 0.733 [1 per cell]
Al 0.306 0.025 0.935 [1 per cell]
Al 0.977 0.692 0.068 [1 per cell]
Al 0.978 0.688 0.268 [1 per cell]
In 0.634 0.358 0.394 [1 per cell]
In 0.635 0.358 0.900 [1 per cell]
In 0.643 0.365 0.101 [1 per cell]
In 0.645 0.359 0.596 [1 per cell]
In 0.965 0.701 0.771 [1 per cell]
In 0.972 0.694 0.570 [1 per cell]
Si 0.329 0.670 0.000 [1 per cell]
Si 0.949 0.058 0.496 [1 per cell]
Si 0.978 0.387 0.670 [1 per cell]
P 0.023 0.030 0.834 [1 per cell]
P 0.027 0.320 0.330 [1 per cell]
P 0.251 0.405 0.168 [1 per cell]
P 0.274 0.701 0.670 [1 per cell]
P 0.298 0.748 0.329 [1 per cell]
P 0.310 0.306 0.834 [1 per cell]
P 0.339 0.356 0.497 [1 per cell]
P 0.585 0.750 0.834 [1 per cell]
P 0.590 0.023 0.329 [1 per cell]
P 0.630 0.670 0.495 [1 per cell]
P 0.640 0.054 0.002 [1 per cell]
P 0.663 0.997 0.668 [1 per cell]
P 0.687 0.699 0.169 [1 per cell]
P 0.945 0.362 0.999 [1 per cell]
P 0.978 0.977 0.169 [1 per cell]
O 0.000 0.506 0.324 [1 per cell]
O 0.003 0.866 0.112 [1 per cell]
O 0.010 0.862 0.833 [1 per cell]
O 0.021 0.464 0.608 [1 per cell]
O 0.113 0.046 0.776 [1 per cell]
O 0.116 0.197 0.277 [1 per cell]
O 0.128 0.237 0.390 [1 per cell]
O 0.129 0.014 0.891 [1 per cell]
O 0.129 0.205 0.989 [1 per cell]
O 0.133 0.729 0.324 [1 per cell]
O 0.138 0.688 0.011 [1 per cell]
O 0.139 0.043 0.487 [1 per cell]
O 0.143 0.995 0.175 [1 per cell]
O 0.144 0.491 0.835 [1 per cell]
O 0.149 0.488 0.109 [1 per cell]
O 0.151 0.195 0.677 [1 per cell]
O 0.155 0.513 0.502 [1 per cell]
O 0.160 0.743 0.612 [1 per cell]
O 0.161 0.527 0.222 [1 per cell]
O 0.193 0.663 0.726 [1 per cell]
O 0.273 0.858 0.387 [1 per cell]
O 0.278 0.218 0.175 [1 per cell]
O 0.293 0.215 0.891 [1 per cell]
O 0.296 0.862 0.677 [1 per cell]
O 0.310 0.863 0.991 [1 per cell]
O 0.319 0.207 0.775 [1 per cell]
O 0.325 0.837 0.273 [1 per cell]
O 0.331 0.187 0.488 [1 per cell]
O 0.405 0.541 0.941 [1 per cell]
O 0.420 0.404 0.445 [1 per cell]
O 0.437 0.385 0.166 [1 per cell]
O 0.445 0.321 0.557 [1 per cell]
O 0.452 0.536 0.662 [1 per cell]
O 0.461 0.593 0.059 [1 per cell]
O 0.466 0.568 0.332 [1 per cell]
O 0.469 0.852 0.486 [1 per cell]
O 0.470 0.331 0.833 [1 per cell]
O 0.475 0.041 0.990 [1 per cell]
O 0.479 0.839 0.776 [1 per cell]
O 0.481 0.041 0.272 [1 per cell]
O 0.487 0.006 0.678 [1 per cell]
O 0.494 0.850 0.892 [1 per cell]
O 0.500 0.866 0.172 [1 per cell]
O 0.503 0.001 0.387 [1 per cell]
O 0.587 0.600 0.554 [1 per cell]
O 0.594 0.173 0.059 [1 per cell]
O 0.604 0.565 0.834 [1 per cell]
O 0.617 0.183 0.330 [1 per cell]
O 0.634 0.182 0.663 [1 per cell]
O 0.660 0.539 0.168 [1 per cell]
O 0.667 0.551 0.440 [1 per cell]
O 0.695 0.128 0.948 [1 per cell]
O 0.732 0.890 0.609 [1 per cell]
O 0.771 0.725 0.835 [1 per cell]
O 0.776 0.721 0.112 [1 per cell]
O 0.777 0.857 0.327 [1 per cell]
O 0.794 0.685 0.502 [1 per cell]
O 0.794 0.918 0.720 [1 per cell]
O 0.795 0.681 0.227 [1 per cell]
O 0.799 0.871 0.012 [1 per cell]
O 0.803 0.371 0.665 [1 per cell]
O 0.809 0.157 0.165 [1 per cell]
O 0.819 0.137 0.437 [1 per cell]
O 0.828 0.407 0.941 [1 per cell]
O 0.840 0.341 0.332 [1 per cell]
O 0.842 0.197 0.835 [1 per cell]
O 0.870 0.306 0.052 [1 per cell]
O 0.875 0.176 0.557 [1 per cell]
O 0.932 0.514 0.728 [1 per cell]
O 0.950 0.889 0.226 [1 per cell]
O 0.955 0.528 0.011 [1 per cell]
O 0.968 0.866 0.502 [1 per cell]

Results
**Calculated volume**: 12.352 Å³/atom
**Crystal system**: triclinic
**Corrected total energy (MP2020 scheme)**: -6.93 eV/atom

---

Number 1: ΔE_f -9799 kJ/mol of formula units, DFT total energy -6.5290 eV per atom. Number 2: ΔE_f -10672 kJ/mol of formula units, DFT total energy -6.5272 eV per atom.